[1]
First-principles (PBE-GGA) data for a geometry-optimized K2EuAuCl6 structure, as listed in the Materials Project database.

Results
Corrected total energy (MP2020 scheme) = -4.57 eV/atom
Size of the total moment = 6.00 μB per formula unit
Density = 3.38 g cm⁻³

Cell: 10.793 10.793 10.793 Å, 90.00 90.00 90.00°
Space group Fm-3m (No. 225)
One atom of each set of equivalent atoms:
K  0.250  0.250  0.250 x8
Eu  0.000  0.000  0.000 x4
Au  0.000  0.000  0.500 x4
Cl  0.000  0.000  0.253 x24

=====

[2]
First-principles (PBE-GGA) data for a geometry-optimized Ho2MgCuSi4O12 structure, as listed in the Materials Project database.

Results
Corrected total energy (MP2020 scheme) = -7.91 eV/atom
Size of the total moment = 1.00 μB per formula unit
Excess energy over the best structure of this formula in the dataset = 0 meV per atom
Density = 4.62 g cm⁻³

Cell: 5.224 7.285 7.712 Å, 63.44 88.06 81.22°
Space group P1 (No. 1)
One atom of each set of equivalent atoms:
Ho  0.000  0.000  0.000 x1
Ho  0.033  0.573  0.835 x1
Mg  0.942  0.010  0.441 x1
Cu  0.202  0.712  0.406 x1
Si  0.431  0.221  0.187 x1
Si  0.436  0.984  0.640 x1
Si  0.595  0.608  0.179 x1
Si  0.604  0.373  0.638 x1
O  0.175  0.898  0.750 x1
O  0.197  0.229  0.051 x1
O  0.308  0.137  0.411 x1
O  0.357  0.524  0.659 x1
O  0.370  0.798  0.156 x1
O  0.456  0.472  0.094 x1
O  0.531  0.134  0.727 x1
O  0.682  0.439  0.409 x1
O  0.697  0.836  0.636 x1
O  0.717  0.093  0.202 x1
O  0.849  0.687  0.057 x1
O  0.855  0.344  0.771 x1

=====

[3]
First-principles (PBE-GGA) data for a geometry-optimized NdGe2 structure, as listed in the Materials Project database.

Results
Density = 6.81 g cm⁻³

Cell: 4.270 4.270 15.491 Å, 90.00 90.00 90.00°
Space group I4_1/amd (No. 141, origin choice 2)
One atom of each set of equivalent atoms:
Nd  0.000  0.250  0.375 x4
Ge  0.000  0.250  0.792 x8

=====

[4]
First-principles (PBE-GGA) data for a geometry-optimized Cd2P3I structure, as listed in the Materials Project database.

Results
Corrected total energy (MP2020 scheme) = -3.55 eV/atom
Size of the total moment = 0.00 μB per formula unit
Density = 4.96 g cm⁻³

Cell: 8.389 9.424 7.642 Å, 90.00 99.48 90.00°
Space group C2/c (No. 15)
One atom of each set of equivalent atoms:
Cd  0.249  0.144  0.219 x8
P  0.000  0.306  0.250 x4
P  0.109  0.455  0.458 x8
I  0.000  0.120  0.750 x4

=====

[5]
First-principles (PBE-GGA) data for a geometry-optimized Pr3CoBr3 structure, as listed in the Materials Project database.

Results
Corrected total energy (MP2020 scheme) = -5.19 eV/atom
Size of the total moment = 0.00 μB per formula unit
Density = 5.55 g cm⁻³

Cell: 12.000 12.000 12.000 Å, 90.00 90.00 90.00°
Space group I4_132 (No. 214)
One atom of each set of equivalent atoms:
Pr  0.107  0.357  0.125 x24
Co  0.125  0.125  0.125 x8
Br  0.117  0.133  0.625 x24

=====

[6]
First-principles (PBE-GGA) data for a geometry-optimized Cs2KCrCl6 structure, as listed in the Materials Project database.

Results
Corrected total energy (MP2020 scheme) = -4.41 eV/atom
Density = 2.97 g cm⁻³

Cell: 10.838 10.838 10.838 Å, 90.00 90.00 90.00°
Space group Fm-3m (No. 225)
One atom of each set of equivalent atoms:
Cs  0.250  0.250  0.250 x8
K  0.000  0.000  0.000 x4
Cr  0.000  0.000  0.500 x4
Cl  0.000  0.000  0.281 x24

=====

[7]
First-principles (PBE-GGA) data for a geometry-optimized Na11B21Cl2O36 structure, as listed in the Materials Project database.

Results
Corrected total energy (MP2020 scheme) = -7.51 eV/atom
Size of the total moment = 0.00 μB per formula unit
Density = 2.25 g cm⁻³

Cell: 15.739 8.920 24.014 Å, 90.00 98.64 90.00°
Space group Cc (No. 9)
One atom of each set of equivalent atoms:
Na  0.000  0.030  0.000 x4
Na  0.023  0.030  0.191 x4
Na  0.074  0.004  0.351 x4
Na  0.107  0.351  0.366 x4
Na  0.135  0.344  0.508 x4
Na  0.152  0.346  0.689 x4
Na  0.182  0.348  0.818 x4
Na  0.345  0.157  0.873 x4
Na  0.373  0.155  0.003 x4
Na  0.389  0.157  0.184 x4
Na  0.418  0.159  0.326 x4
B  0.012  0.386  0.596 x4
B  0.043  0.362  0.145 x4
B  0.075  0.323  0.925 x4
B  0.094  0.137  0.596 x4
B  0.105  0.315  0.248 x4
B  0.193  0.134  0.954 x4
B  0.202  0.027  0.056 x4
B  0.221  0.130  0.284 x4
B  0.228  0.034  0.655 x4
B  0.228  0.403  0.933 x4
B  0.262  0.391  0.266 x4
B  0.263  0.110  0.425 x4
B  0.297  0.098  0.759 x4
B  0.297  0.466  0.036 x4
B  0.305  0.370  0.408 x4
B  0.323  0.472  0.636 x4
B  0.332  0.367  0.738 x4
B  0.420  0.186  0.444 x4
B  0.431  0.363  0.095 x4
B  0.449  0.177  0.767 x4
B  0.482  0.138  0.547 x4
Cl  0.033  0.213  0.772 x4
Cl  0.496  0.288  0.920 x4
O  0.012  0.062  0.596 x4
O  0.013  0.284  0.096 x4
O  0.033  0.372  0.275 x4
O  0.034  0.486  0.648 x4
O  0.081  0.275  0.189 x4
O  0.088  0.298  0.590 x4
O  0.101  0.183  0.945 x4
O  0.134  0.423  0.908 x4
O  0.136  0.073  0.548 x4
O  0.136  0.173  0.280 x4
O  0.150  0.104  0.652 x4
O  0.176  0.430  0.257 x4
O  0.196  0.013  0.424 x4
O  0.227  0.114  0.014 x4
O  0.236  0.473  0.989 x4
O  0.241  0.261  0.413 x4
O  0.245  0.015  0.797 x4
O  0.249  0.244  0.930 x4
O  0.251  0.043  0.109 x4
O  0.274  0.457  0.582 x4
O  0.276  0.256  0.761 x4
O  0.279  0.486  0.895 x4
O  0.284  0.238  0.278 x4
O  0.288  0.027  0.703 x4
O  0.298  0.386  0.677 x4
O  0.328  0.487  0.266 x4
O  0.348  0.069  0.435 x4
O  0.374  0.396  0.039 x4
O  0.388  0.326  0.413 x4
O  0.389  0.427  0.143 x4
O  0.391  0.076  0.784 x4
O  0.424  0.315  0.746 x4
O  0.437  0.202  0.102 x4
O  0.445  0.224  0.503 x4
O  0.491  0.014  0.044 x4
O  0.491  0.127  0.417 x4

=====

[8]
First-principles (PBE-GGA) data for a geometry-optimized Ba2CaCuHg2O6 structure, as listed in the Materials Project database.

Results
Corrected total energy (MP2020 scheme) = -5.10 eV/atom
Size of the total moment = 0.00 μB per formula unit
Density = 6.59 g cm⁻³

Cell: 4.272 4.272 12.085 Å, 90.00 90.00 90.00°
Space group P4/mmm (No. 123)
One atom of each set of equivalent atoms:
Ba  0.000  0.000  0.197 x2
Ca  0.000  0.000  0.500 x1
Cu  0.500  0.500  0.000 x1
Hg  0.500  0.500  0.361 x2
O  0.000  0.500  0.372 x4
O  0.500  0.500  0.149 x2

=====

[9]
First-principles (PBE-GGA) data for a geometry-optimized Pa3Nb structure, as listed in the Materials Project database.

Results
Size of the total moment = 0.00 μB per formula unit
Density = 13.81 g cm⁻³

Cell: 6.2372 6.2372 5.6092 Å, 90.00 90.00 120.00°
Space group P6_3/mmc (No. 194)
One atom of each set of equivalent atoms:
Pa  0.1728  0.3456  0.2500 x6
Nb  0.3333  0.6667  0.7500 x2

=====

[10]
First-principles (PBE-GGA) data for a geometry-optimized HoTh3 structure, as listed in the Materials Project database.

Results
Density = 11.22 g cm⁻³

Cell: 5.032 5.032 5.032 Å, 90.00 90.00 90.00°
Space group Pm-3m (No. 221)
One atom of each set of equivalent atoms:
Ho  0.000  0.000  0.000 x1
Th  0.000  0.500  0.500 x3

=====

[11]
First-principles (PBE-GGA) data for a geometry-optimized BaYF5 structure, as listed in the Materials Project database.

Results
Corrected total energy (MP2020 scheme) = -6.85 eV/atom
Size of the total moment = 0.00 μB per formula unit
Excess energy over the best structure of this formula in the dataset = 58 meV per atom
Density = 4.48 g cm⁻³

Cell: 5.460 5.627 15.502 Å, 90.00 90.00 90.00°
Space group P2_12_12_1 (No. 19)
One atom of each set of equivalent atoms:
Ba  0.004  0.059  0.396 x4
Y  0.019  0.940  0.673 x4
F  0.031  0.093  0.887 x4
F  0.132  0.608  0.943 x4
F  0.139  0.072  0.100 x4
F  0.241  0.235  0.736 x4
F  0.242  0.712  0.767 x4

=====

[12]
First-principles (PBE-GGA) data for a geometry-optimized TiTe3O8 structure, as listed in the Materials Project database.

Results
Corrected total energy (MP2020 scheme) = -6.74 eV/atom
Density = 5.25 g cm⁻³

Cell: 11.226 11.226 11.226 Å, 90.00 90.00 90.00°
Space group Ia-3 (No. 206)
One atom of each set of equivalent atoms:
Ti  0.250  0.250  0.250 x8
Te  0.000  0.250  0.046 x24
O  0.078  0.078  0.078 x16
O  0.116  0.188  0.654 x48

=====

no.,formation energy from the elements (meV/atom)
1,-1887
2,-3112
3,-604
4,-282
5,-1423
6,-2043
7,-2704
8,-1749
9,176
10,32
11,-4283
12,-1997